(1)
A plane-wave DFT calculation with r²SCAN was carried out for a geometry-optimized LiErHg2 structure.

Properties
Total energy ... -137.02 eV/f.u.
DFT formation energy ... -0.494 eV per atom

Unit cell a=4.943 b=4.943 c=4.943 alpha=60.00 beta=60.00 gamma=60.00
Positions (direct):
Hg 0.500 0.500 0.500
Hg 0.000 0.000 0.000
Er 0.250 0.250 0.250
Li 0.750 0.750 0.750

(2)
A plane-wave DFT calculation with r²SCAN was carried out for a geometry-optimized ErLuHg2 structure.

Properties
Total energy ... -172.98 eV/f.u.
DFT formation energy ... -0.559 eV per atom

Unit cell a=5.140 b=5.140 c=5.140 alpha=60.00 beta=60.00 gamma=60.00
Positions (direct):
Hg 0.750 0.750 0.750
Er 0.500 0.500 0.500
Lu 0.000 0.000 0.000
Hg 0.250 0.250 0.250

(3)
A plane-wave DFT calculation with r²SCAN was carried out for a geometry-optimized SmErHg2 structure.

Properties
Total energy ... -164.65 eV/f.u.
DFT formation energy ... -0.563 eV per atom

Unit cell a=5.259 b=5.259 c=5.259 alpha=60.00 beta=60.00 gamma=60.00
Positions (direct):
Sm 0.750 0.750 0.750
Hg 0.000 0.000 0.000
Hg 0.500 0.500 0.500
Er 0.250 0.250 0.250

(4)
A plane-wave DFT calculation with r²SCAN was carried out for a geometry-optimized ErTmHg2 structure.

Properties
Total energy ... -170.05 eV/f.u.
DFT formation energy ... -0.568 eV per atom

Unit cell a=5.158 b=5.158 c=5.158 alpha=60.00 beta=60.00 gamma=60.00
Positions (direct):
Tm 0.000 0.000 0.000
Hg 0.250 0.250 0.250
Er 0.500 0.500 0.500
Hg 0.750 0.750 0.750

(5)
A plane-wave DFT calculation with r²SCAN was carried out for a geometry-optimized YErHg2 structure.

Properties
Total energy ... -155.28 eV/f.u.
DFT formation energy ... -0.577 eV per atom

Unit cell a=5.204 b=5.204 c=5.204 alpha=60.00 beta=60.00 gamma=60.00
Positions (direct):
Hg 0.500 0.500 0.500
Hg 0.000 0.000 0.000
Y 0.750 0.750 0.750
Er 0.250 0.250 0.250

(6)
A plane-wave DFT calculation with r²SCAN was carried out for a geometry-optimized HoEr3 structure.

Properties
Total energy ... -134.61 eV/f.u.
DFT formation energy ... 0.012 eV per atom

Unit cell a=7.184 b=7.185 c=5.525 alpha=90.00 beta=90.00 gamma=120.00
Positions (direct):
Ho 0.667 0.333 0.250
Er 0.833 0.166 0.750
Er 0.833 0.667 0.750
Er 0.333 0.166 0.750
Er 0.167 0.333 0.250
Ho 0.333 0.667 0.750
Er 0.667 0.834 0.250
Er 0.167 0.834 0.250

DFT formation energy of number 3 (SmErHg2)? -0.563 eV per atom

Which formula does entry 4 have? ErTmHg2

Repeat the second record exactly.
A plane-wave DFT calculation with r²SCAN was carried out for a geometry-optimized ErLuHg2 structure.

Properties
Total energy ... -172.98 eV/f.u.
DFT formation energy ... -0.559 eV per atom

Unit cell a=5.140 b=5.140 c=5.140 alpha=60.00 beta=60.00 gamma=60.00
Positions (direct):
Hg 0.750 0.750 0.750
Er 0.500 0.500 0.500
Lu 0.000 0.000 0.000
Hg 0.250 0.250 0.250